! Sm3S3N | Materials Project | GGA-PBE | relaxed; values from VASP
! Energy with MP2020 corrections   -201.37 eV for the cell shown
! E_form   -2.2059 eV per atom
! SG   Pnma, No. 62
&SYSTEM
  ibrav = 0, nat = 28, ntyp = 3
/
ATOMIC_SPECIES
Sm 150.36 Sm.upf
S 32.06 S.upf
N 14.01 N.upf
CELL_PARAMETERS angstrom
12.204 0.000 0.000
0.000 3.952 0.000
0.000 0.000 13.104
ATOMIC_POSITIONS angstrom
Sm 0.563 0.988 1.907
Sm 0.874 0.988 8.263
Sm 2.625 0.988 11.304
Sm 3.477 2.964 4.752
Sm 5.228 2.964 1.711
Sm 5.539 2.964 8.459
Sm 6.665 0.988 4.646
Sm 6.976 0.988 11.393
Sm 8.727 0.988 8.352
Sm 9.579 2.964 1.800
Sm 11.330 2.964 4.841
Sm 11.641 2.964 11.198
S 1.096 0.988 5.187
S 1.641 2.964 13.002
S 2.750 2.964 9.089
S 3.352 0.988 2.537
S 4.460 0.988 6.450
S 5.006 2.964 11.740
S 7.198 0.988 1.365
S 7.743 2.964 6.654
S 8.852 2.964 10.568
S 9.454 0.988 4.015
S 10.562 0.988 0.102
S 11.108 2.964 7.917
N 0.473 0.988 10.464
N 5.629 2.964 3.911
N 6.575 0.988 9.193
N 11.731 2.964 2.641